Material: ScUS2
Method: DFT, r²SCAN
State: relaxed

Properties
ΔH_f (0 K)	-42.11	kcal/mol of atoms
total energy	-28.678	eV per atom
excess energy over the best structure of this formula in the dataset	13	meV per atom

```
data_ScUS2
_chemical_formula_sum 'Sc1 U1 S2'
_cell_length_a 3.844
_cell_length_b 3.844
_cell_length_c 5.403
_cell_angle_alpha 90.00
_cell_angle_beta 90.00
_cell_angle_gamma 90.00
_symmetry_space_group_name_H-M 'P 4/m m m'
_symmetry_Int_Tables_number 123
_symmetry_space_group_name_Hall '-P 4 2'
loop_
_atom_site_label
_atom_site_fract_x
_atom_site_fract_y
_atom_site_fract_z
Sc1 0.000 0.000 0.000
U1 0.500 0.500 0.500
S1 0.000 0.000 0.500
S2 0.500 0.500 0.000
```

Material: Sn2SeS
Method: DFT, r²SCAN
State: relaxed

Properties
ΔH_f (0 K)	-10.56	kcal/mol of atoms
total energy	-18.417	eV per atom

```
data_Sn2SeS
_chemical_formula_sum 'Sn4 Se2 S2'
_cell_length_a 4.039
_cell_length_b 4.652
_cell_length_c 11.490
_cell_angle_alpha 90.00
_cell_angle_beta 90.00
_cell_angle_gamma 90.00
_symmetry_space_group_name_H-M 'P m c 21'
_symmetry_Int_Tables_number 26
_symmetry_space_group_name_Hall 'P 2c -2'
loop_
_atom_site_label
_atom_site_fract_x
_atom_site_fract_y
_atom_site_fract_z
Sn1 0.000 0.105 0.000
Sn2 0.500 0.359 0.760
Se1 0.000 0.243 0.235
S1 0.500 0.255 0.535
```

Material: Sr2SeS
Method: DFT, r²SCAN
State: relaxed

Properties
ΔH_f (0 K)	-54.95	kcal/mol of atoms
total energy	-15.542	eV per atom

```
data_Sr2SeS
_chemical_formula_sum 'Sr6 Se3 S3'
_cell_length_a 4.3563
_cell_length_b 4.3563
_cell_length_c 21.3665
_cell_angle_alpha 90.00
_cell_angle_beta 90.00
_cell_angle_gamma 120.00
_symmetry_space_group_name_H-M 'R -3 m'
_symmetry_Int_Tables_number 166
_symmetry_space_group_name_Hall '-R 3 2"'
loop_
_atom_site_label
_atom_site_fract_x
_atom_site_fract_y
_atom_site_fract_z
Sr1 0.0000 0.0000 0.2472
Se1 0.0000 0.0000 0.0000
S1 0.0000 0.0000 0.5000
```